A plane-wave DFT calculation with PBE with a Hubbard U was carried out for crystalline LiMnF3 at its relaxed geometry.

a = 5.035 Å, b = 8.903 Å, c = 10.775 Å
α = 90.00°, β = 90.00°, γ = 90.00°
Element x y z (fractional)
Mn1 0.495 0.086 0.638
Mn2 0.495 0.414 0.138
Mn3 0.995 0.914 0.862
Mn4 0.995 0.586 0.362
Mn5 0.505 0.586 0.862
Mn6 0.005 0.086 0.138
Mn7 0.005 0.414 0.638
Mn8 0.505 0.914 0.362
F1 0.250 0.250 0.724
F2 0.694 0.902 0.545
F3 0.694 0.598 0.045
F4 0.250 0.250 0.224
F5 0.250 0.750 0.458
F6 0.750 0.750 0.276
F7 0.194 0.098 0.955
F8 0.750 0.250 0.542
F9 0.778 0.087 0.304
F10 0.806 0.598 0.545
F11 0.722 0.413 0.304
F12 0.306 0.098 0.455
F13 0.806 0.902 0.045
F14 0.194 0.402 0.455
F15 0.222 0.587 0.196
F16 0.222 0.913 0.696
F17 0.722 0.087 0.804
F18 0.750 0.750 0.776
F19 0.778 0.413 0.804
F20 0.278 0.587 0.696
F21 0.278 0.913 0.196
F22 0.306 0.402 0.955
F23 0.750 0.250 0.042
F24 0.250 0.750 0.958
Li1 0.003 0.214 0.401
Li2 0.497 0.286 0.401
Li3 0.503 0.786 0.099
Li4 0.997 0.714 0.099
Li5 0.003 0.286 0.901
Li6 0.997 0.786 0.599
Li7 0.497 0.214 0.901
Li8 0.503 0.714 0.599

## Properties
The space group is Pccn (56). For the total DFT energy (no corrections), the calculation gives -5.7764 eV/atom. As for the formation energy: -3.02 eV per atom. The distance to the lowest polymorph of the same formula is 0.000 eV per atom.

A plane-wave DFT calculation with PBE with a Hubbard U was carried out for crystalline Li2MnF6 at its relaxed geometry.

a = 4.667 Å, b = 4.667 Å, c = 8.924 Å
α = 90.00°, β = 90.00°, γ = 90.00°
Element x y z (fractional)
Mn1 0.500 0.500 0.500
Mn2 0.000 0.000 0.000
F1 0.810 0.190 0.848
F2 0.220 0.780 0.500
F3 0.690 0.690 0.652
F4 0.780 0.220 0.500
F5 0.810 0.190 0.152
F6 0.690 0.690 0.348
F7 0.720 0.720 0.000
F8 0.310 0.310 0.348
F9 0.310 0.310 0.652
F10 0.190 0.810 0.152
F11 0.280 0.280 0.000
F12 0.190 0.810 0.848
Li1 0.500 0.500 0.163
Li2 0.500 0.500 0.837
Li3 0.000 0.000 0.337
Li4 0.000 0.000 0.663

## Properties
The space group is P4_2/mnm (136). For the total DFT energy (no corrections), the calculation gives -5.0909 eV/atom. As for the formation energy: -2.87 eV per atom. The distance to the lowest polymorph of the same formula is 0.000 eV per atom.

A plane-wave DFT calculation with PBE with a Hubbard U was carried out for crystalline LiMnF3 at its relaxed geometry.

a = 5.647 Å, b = 5.967 Å, c = 8.759 Å
α = 90.00°, β = 90.00°, γ = 90.00°
Element x y z (fractional)
Mn1 0.000 0.500 0.000
Mn2 0.500 0.000 0.500
Mn3 0.000 0.500 0.500
Mn4 0.500 0.000 0.000
F1 0.187 0.191 0.532
F2 0.187 0.191 0.968
F3 0.813 0.809 0.032
F4 0.962 0.511 0.250
F5 0.538 0.011 0.250
F6 0.313 0.691 0.532
F7 0.462 0.989 0.750
F8 0.687 0.309 0.468
F9 0.687 0.309 0.032
F10 0.813 0.809 0.468
F11 0.038 0.489 0.750
F12 0.313 0.691 0.968
Li1 0.823 0.817 0.250
Li2 0.177 0.183 0.750
Li3 0.677 0.317 0.250
Li4 0.323 0.683 0.750

## Properties
The space group is Pnma (62). For the total DFT energy (no corrections), the calculation gives -5.7071 eV/atom. As for the formation energy: -2.95 eV per atom. The distance to the lowest polymorph of the same formula is 0.069 eV per atom.